Density functional theory data (PBE-GGA) for a geometry-optimized NbZn16 structure.

**E_form**: -4 kJ/mol of atoms
**Space group**: Cmcm (63)

Structure (POSCAR):
```
NbZn16
1.0
3.860 -5.732 0.000
3.860 5.732 0.000
0.000 0.000 11.720
Zn Nb
32 2
Cartesian
3.860 1.377 6.234 Zn
3.860 3.716 10.075 Zn
2.562 3.590 5.048 Zn
2.562 3.590 0.812 Zn
3.860 -3.716 4.216 Zn
5.159 -3.590 6.672 Zn
0.000 0.000 0.000 Zn
2.562 -3.590 6.672 Zn
5.120 -1.651 2.930 Zn
5.431 0.599 4.292 Zn
3.860 -3.716 1.644 Zn
3.860 -1.377 0.374 Zn
2.289 0.599 1.568 Zn
5.431 0.599 1.568 Zn
2.600 1.651 8.790 Zn
3.860 1.377 11.346 Zn
2.562 -3.590 10.908 Zn
2.289 0.599 4.292 Zn
5.159 3.590 0.812 Zn
5.159 -3.590 10.908 Zn
3.860 -2.407 8.790 Zn
3.860 2.407 2.930 Zn
2.289 -0.599 10.152 Zn
3.860 3.716 7.504 Zn
3.860 -1.377 5.486 Zn
5.431 -0.599 7.428 Zn
5.431 -0.599 10.152 Zn
2.600 -1.651 2.930 Zn
2.289 -0.599 7.428 Zn
5.159 3.590 5.048 Zn
5.120 1.651 8.790 Zn
0.000 0.000 5.860 Zn
3.860 -5.180 8.790 Nb
3.860 5.180 2.930 Nb
```

***

Density functional theory data (PBE-GGA) for a geometry-optimized ZrNb structure.

**E_form**: 11 kJ/mol of atoms
**Space group**: Cmmm (65)

Structure (POSCAR):
```
ZrNb
1.0
-0.500 2.626 -1.329
-1.837 -0.309 2.332
3.314 2.094 2.888
Zr Nb
1 1
Cartesian
0.488 2.205 1.946 Zr
0.000 0.000 0.000 Nb
```

***

Density functional theory data (PBE-GGA) for a geometry-optimized Nd structure.

**E_form**: 14 kJ/mol of atoms
**Energy relative to the lowest polymorph listed for this composition**: 0.14 eV per formula unit
**Space group**: Im-3m (229)

Structure (POSCAR):
```
Nd
1.0
-2.067 2.067 2.067
2.067 -2.067 2.067
2.067 2.067 -2.067
Nd
1
Cartesian
0.000 0.000 0.000 Nd
```

***

Density functional theory data (PBE-GGA) for a geometry-optimized Nd structure.

**E_form**: 0 kJ/mol of atoms
**Energy relative to the lowest polymorph listed for this composition**: 0.00 eV per formula unit
**Space group**: R-3m (166)

Structure (POSCAR):
```
Nd
1.0
-5.590 -2.642 -6.816
-4.531 -5.909 -5.407
-7.325 -4.032 -3.843
Nd
3
Cartesian
0.000 0.000 0.000 Nd
-3.885 -2.802 -3.578 Nd
-13.560 -9.780 -12.488 Nd
```

***

Density functional theory data (PBE-GGA) for a geometry-optimized Nd structure.

**E_form**: 1 kJ/mol of atoms
**Energy relative to the lowest polymorph listed for this composition**: 0.01 eV per formula unit
**Space group**: Fm-3m (225)

Structure (POSCAR):
```
Nd
1.0
0.000 2.608 2.608
2.608 0.000 2.608
2.608 2.608 0.000
Nd
1
Cartesian
0.000 0.000 0.000 Nd
```

***

Density functional theory data (PBE-GGA) for a geometry-optimized Nd structure.

**E_form**: 0 kJ/mol of atoms
**Energy relative to the lowest polymorph listed for this composition**: 0.00 eV per formula unit
**Space group**: P6_3/mmc (194)

Structure (POSCAR):
```
Nd
1.0
-1.854 -3.210 0.000
-1.854 3.210 0.000
0.000 0.000 -11.911
Nd
4
Cartesian
-1.854 -1.070 -2.978 Nd
0.000 0.000 0.000 Nd
-1.854 1.070 -8.933 Nd
0.000 0.000 -5.955 Nd
```